Na3Mg4ScSi8O22F2: optimized geometry, PBE-GGA.

Unit cell a=10.7217 b=9.9310 c=10.3740 alpha=61.45 beta=83.71 gamma=76.80
With the nearest neighbours (Å) after each atom.
Fractional coordinates of all 80 atoms:
O 0.1359 0.9544 0.3315  1 Si 1.64
Na 0.2450 0.2753 0.4490  6 O 2.35-2.55
O 0.3641 0.0456 0.6685  1 Si 1.64
O 0.2850 0.7767 0.7601  2 Si 1.64-1.68
O 0.8931 0.1976 0.8336  1 Si 1.62
O 0.8618 0.0472 0.6684  1 Si 1.61
Si 0.8960 0.5402 0.3400  4 O 1.59-1.68
O 0.7851 0.5372 0.2389  2 Si 1.64-1.68
Mg 0.4999 0.9988 0.0024  2 F 2.05, 4 O 2.06-2.10
Mg 0.2524 0.9126 0.1761  4 O 2.04-2.12, 2 F 2.08
Si 0.6048 0.1176 0.3357  4 O 1.61-1.68
Mg 0.7477 0.9111 0.1761  4 O 2.04-2.13, 2 F 2.08
O 0.6003 0.1147 0.4936  1 Si 1.62
Si 0.8572 0.3660 0.8313  4 O 1.62-1.66
O 0.3999 0.3915 0.4932  1 Si 1.62
Si 0.1431 0.6337 0.1665  4 O 1.63-1.65
Si 0.8572 0.1992 0.1672  4 O 1.63-1.65
O 0.3931 0.0310 0.1666  1 Si 1.62
O 0.1004 0.1111 0.4979  1 Si 1.59
O 0.1381 0.2847 0.6686  1 Si 1.61
Si 0.3571 0.1968 0.1694  4 O 1.62-1.66
F 0.1462 0.1011 0.0010  3 Mg 2.05-2.08
Na 0.7551 0.2754 0.4486  6 O 2.35-2.55
O 0.5339 0.5264 0.2483  2 Si 1.64-1.67
O 0.3996 0.8889 0.5021  1 Si 1.59
O 0.8535 0.3466 0.9995  2 Si 1.65-1.66
F 0.6463 0.1018 0.9994  3 Mg 2.05-2.08
O 0.2155 0.4643 0.7609  2 Si 1.64-1.68
O 0.8997 0.3911 0.4971  1 Si 1.59
O 0.6382 0.9528 0.3316  1 Si 1.61
O 0.1471 0.6542 0.9986  2 Si 1.65-1.66
O 0.0337 0.7752 0.7511  2 Si 1.64-1.67
O 0.7156 0.2243 0.2396  2 Si 1.64-1.68
O 0.4663 0.2248 0.2489  2 Si 1.64-1.67
O 0.3529 0.3458 0.0014  2 Si 1.65-1.66
O 0.3920 0.1979 0.8331  1 Si 1.63
O 0.2845 0.5357 0.2391  2 Si 1.64-1.68
Si 0.1047 0.4537 0.6646  4 O 1.61-1.68
Si 0.3953 0.5463 0.3354  4 O 1.61-1.68
O 0.6003 0.6089 0.5029  1 Si 1.59
O 0.6069 0.8024 0.1664  1 Si 1.62
O 0.6359 0.2859 0.6687  1 Si 1.64
Si 0.6428 0.8008 0.8328  4 O 1.63-1.65
Si 0.8952 0.8824 0.6643  4 O 1.61-1.68
Na 0.7449 0.7246 0.5514  6 O 2.35-2.55
O 0.2150 0.2233 0.2399  2 Si 1.64-1.68
Mg 0.0001 0.0012 0.9976  2 F 2.05, 4 O 2.06-2.10
O 0.6076 0.9695 0.8327  1 Si 1.63
Sc 0.0000 0.8172 0.3657  4 O 2.00-2.11
O 0.8924 0.0305 0.1673  1 Si 1.63
F 0.8537 0.8982 0.0006  3 Mg 2.05-2.08
Si 0.1039 0.1192 0.3408  4 O 1.59-1.68
O 0.4662 0.4720 0.7523  2 Si 1.64-1.68
O 0.3619 0.7153 0.3314  1 Si 1.61
Si 0.3961 0.8808 0.6592  4 O 1.59-1.68
O 0.8641 0.7141 0.3313  1 Si 1.64
O 0.1069 0.9690 0.8334  1 Si 1.62
Mg 0.9999 0.1818 0.6369  4 O 2.00-2.11
O 0.8997 0.8853 0.5064  1 Si 1.62
Si 0.3569 0.3663 0.8335  4 O 1.63-1.65
Mg 0.7523 0.0889 0.8239  4 O 2.04-2.13, 2 F 2.08
O 0.5339 0.7762 0.7510  2 Si 1.64-1.68
O 0.1001 0.6085 0.5068  1 Si 1.62
Na 0.5002 0.4982 0.0016  2 O 2.42-2.43
O 0.7844 0.7757 0.7604  2 Si 1.64-1.68
F 0.3538 0.8989 0.9990  3 Mg 2.05-2.08
Na 0.9998 0.5018 0.9984  2 O 2.42-2.43
O 0.6465 0.6534 0.0005  2 Si 1.65-1.66
Sc 0.5000 0.1828 0.6343  4 O 2.00-2.11
Mg 0.5001 0.8182 0.3631  4 O 2.00-2.11
Si 0.1429 0.8032 0.8306  4 O 1.62-1.66
Mg 0.2476 0.0874 0.8239  4 O 2.04-2.12, 2 F 2.08
O 0.1080 0.8021 0.1669  1 Si 1.63
Si 0.6040 0.4598 0.6600  4 O 1.59-1.68
Na 0.2550 0.7247 0.5510  6 O 2.35-2.55
Si 0.6428 0.6340 0.1687  4 O 1.62-1.66
O 0.0338 0.5280 0.2477  2 Si 1.64-1.68
O 0.7149 0.4628 0.7611  2 Si 1.64-1.68
O 0.9661 0.2238 0.2490  2 Si 1.64-1.68
O 0.9661 0.4736 0.7517  2 Si 1.64-1.67

Output
Energy of formation from the pure elements: -3249 meV/atom
Calculated density: 2.90 g/cm3
Crystal system: triclinic
Electronic total energy: -7.168 eV/atom
SG: No. 2